1.
Below is Ba6Br2N3Cl after structural relaxation, with properties calculated at the PBE level.

Results
Formation enthalpy at 0 K: -1.271 eV/atom
Size of the total moment: 0.00 Bohr magnetons per cell
Total DFT energy (no corrections): -4.6904 eV per atom
MP2020-corrected energy: -56.9 eV/cell

a = 11.0742 Å, b = 11.0742 Å, c = 8.2649 Å
α = 73.31°, β = 73.31°, γ = 21.79°
Positions (direct):
Ba 0.9240 0.9240 0.6883
Ba 0.2571 0.2571 0.6866
Ba 0.5894 0.5894 0.6898
Ba 0.0760 0.0760 0.3117
Ba 0.4106 0.4106 0.3102
Ba 0.7429 0.7429 0.3134
Br 0.3334 0.3334 0.0000
Br 0.6666 0.6666 0.0000
N 0.5000 0.5000 0.5000
N 0.8335 0.8335 0.4999
N 0.1665 0.1665 0.5001
Cl 0.0000 0.0000 0.0000

2.
Below is Ba10Br4N5Cl after structural relaxation, with properties calculated at the PBE level.

Results
Formation enthalpy at 0 K: -1.239 eV/atom
Size of the total moment: 0.00 Bohr magnetons per cell
Total DFT energy (no corrections): -4.6715 eV per atom
MP2020-corrected energy: -94.0 eV/cell

a = 4.1755 Å, b = 4.1755 Å, c = 39.7096 Å
α = 86.99°, β = 90.00°, γ = 120.00°
Positions (direct):
Ba 0.3537 0.7074 0.9389
Ba 0.1543 0.3086 0.5372
Ba 0.7543 0.5086 0.7372
Ba 0.9546 0.9091 0.1363
Ba 0.5543 0.1086 0.3372
Ba 0.0454 0.0909 0.8637
Ba 0.8457 0.6914 0.4628
Ba 0.4457 0.8914 0.6628
Ba 0.6463 0.2926 0.0611
Ba 0.2457 0.4914 0.2628
Br 0.6000 0.2001 0.1999
Br 0.2000 0.4000 0.4000
Br 0.8000 0.6000 0.6000
Br 0.4000 0.7999 0.8001
N 0.6996 0.3992 0.9012
N 0.5000 0.0000 0.5000
N 0.1000 0.2000 0.7000
N 0.3004 0.6008 0.0988
N 0.9000 0.8000 0.3000
Cl 0.0000 0.0000 0.0000

3.
Below is Ba6Br2N3Cl after structural relaxation, with properties calculated at the PBE level.

Results
Formation enthalpy at 0 K: -1.275 eV/atom
Size of the total moment: 0.00 Bohr magnetons per cell
Total DFT energy (no corrections): -4.6943 eV per atom
MP2020-corrected energy: -56.9 eV/cell

a = 4.1686 Å, b = 4.1686 Å, c = 23.5996 Å
α = 90.00°, β = 90.00°, γ = 120.00°
Positions (direct):
Ba 0.3333 0.6667 0.8976
Ba 0.0000 0.0000 0.2282
Ba 0.6667 0.3333 0.5621
Ba 0.0000 0.0000 0.7718
Ba 0.6667 0.3333 0.1024
Ba 0.3333 0.6667 0.4379
Br 0.6667 0.3333 0.3333
Br 0.3333 0.6667 0.6667
N 0.6667 0.3333 0.8343
N 0.3333 0.6667 0.1657
N 0.0000 0.0000 0.5000
Cl 0.0000 0.0000 0.0000

4.
Below is CsBa2Br5 after structural relaxation, with properties calculated at the PBE level.

Results
Formation enthalpy at 0 K: -2.467 eV/atom
Total DFT energy (no corrections): -3.7485 eV per atom
MP2020-corrected energy: -130.6 eV/cell

a = 8.8327 Å, b = 10.1534 Å, c = 14.1682 Å
α = 89.75°, β = 90.00°, γ = 90.00°
Positions (direct):
Cs 0.9429 0.0108 0.1666
Cs 0.4429 0.9892 0.3334
Cs 0.0571 0.9892 0.8334
Cs 0.5571 0.0108 0.6666
Ba 0.9720 0.4999 0.1775
Ba 0.4720 0.5001 0.3225
Ba 0.0280 0.5001 0.8225
Ba 0.5280 0.4999 0.6775
Ba 0.4315 0.2534 0.0073
Ba 0.9315 0.7466 0.4927
Ba 0.5685 0.7466 0.9927
Ba 0.0685 0.2534 0.5073
Br 0.0491 0.2881 0.0022
Br 0.5491 0.7119 0.4978
Br 0.9509 0.7119 0.9978
Br 0.4509 0.2881 0.5022
Br 0.6897 0.7241 0.2170
Br 0.1897 0.2759 0.2830
Br 0.3103 0.2759 0.7830
Br 0.8103 0.7241 0.7170
Br 0.8372 0.4618 0.4010
Br 0.3372 0.5382 0.0990
Br 0.1628 0.5382 0.5990
Br 0.6628 0.4618 0.9010
Br 0.6631 0.2891 0.1873
Br 0.1631 0.7109 0.3127
Br 0.3369 0.7109 0.8127
Br 0.8369 0.2891 0.6873
Br 0.8253 0.0362 0.4224
Br 0.3253 0.9638 0.0776
Br 0.1747 0.9638 0.5776
Br 0.6747 0.0362 0.9224

5.
Below is Ba2Cu3Br2O4 after structural relaxation, with properties calculated at the PBE level.

Results
Formation enthalpy at 0 K: -1.694 eV/atom
Size of the total moment: 0.04 Bohr magnetons per cell
Total DFT energy (no corrections): -5.0075 eV per atom
MP2020-corrected energy: -57.8 eV/cell

a = 8.4628 Å, b = 8.4628 Å, c = 8.4628 Å
α = 141.29°, β = 141.29°, γ = 55.89°
Positions (direct):
Ba 0.6314 0.6314 0.0000
Ba 0.3686 0.3686 0.0000
Cu 0.5000 0.0000 0.5000
Cu 0.0000 0.5000 0.5000
Cu 0.0000 0.0000 0.0000
Br 0.2500 0.7500 0.5000
Br 0.7500 0.2500 0.5000
O 0.2410 0.7590 0.0000
O 0.7590 0.7590 0.5180
O 0.2410 0.2410 0.4820
O 0.7590 0.2410 0.0000

6.
Below is Ba3CuP2Br3O7 after structural relaxation, with properties calculated at the PBE level.

Results
Formation enthalpy at 0 K: -2.087 eV/atom
Size of the total moment: 0.00 Bohr magnetons per cell
Total DFT energy (no corrections): -5.7811 eV per atom
MP2020-corrected energy: -187.2 eV/cell

a = 7.1025 Å, b = 10.4247 Å, c = 10.5451 Å
α = 118.30°, β = 90.37°, γ = 90.57°
Positions (direct):
Ba 0.7552 0.6040 0.9325
Ba 0.7576 0.0633 0.6731
Ba 0.2523 0.6440 0.6100
Ba 0.7368 0.3327 0.3925
Ba 0.2577 0.9844 0.3761
Ba 0.2364 0.3696 0.0120
Cu 0.2504 0.0013 0.0044
Cu 0.7465 0.9933 0.9902
P 0.0270 0.3175 0.6433
P 0.4711 0.3342 0.6742
P 0.9108 0.6925 0.3729
P 0.5916 0.6896 0.3663
Br 0.2544 0.0182 0.7841
Br 0.2463 0.7624 0.9782
Br 0.7481 0.7925 0.7549
Br 0.2509 0.2161 0.2333
Br 0.7396 0.2364 0.0291
Br 0.7404 0.9660 0.1998
O 0.9610 0.3398 0.7916
O 0.2443 0.2756 0.6277
O 0.5520 0.1900 0.5497
O 0.9450 0.1784 0.5165
O 0.4949 0.4587 0.6307
O 0.9958 0.4545 0.6258
O 0.5247 0.5615 0.3872
O 0.9722 0.5626 0.3906
O 0.5241 0.8404 0.4750
O 0.9793 0.8430 0.4861
O 0.0000 0.6945 0.2320
O 0.5090 0.6851 0.2199
O 0.9731 0.5543 0.1000
O 0.5254 0.5416 0.0890

7.
Below is BaBr2F8 after structural relaxation, with properties calculated at the PBE level.

Results
Formation enthalpy at 0 K: -2.104 eV/atom
Total DFT energy (no corrections): -3.6326 eV per atom
MP2020-corrected energy: -87.3 eV/cell

a = 8.1001 Å, b = 8.1001 Å, c = 8.1001 Å
α = 104.80°, β = 104.80°, γ = 119.29°
Positions (direct):
Ba 0.0000 0.0000 0.0000
Ba 0.2500 0.7500 0.5000
Br 0.1444 0.5266 0.9343
Br 0.5923 0.2100 0.0657
Br 0.7900 0.8556 0.3822
Br 0.4734 0.4077 0.6178
F 0.0883 0.5562 0.7039
F 0.8523 0.3845 0.2961
F 0.6155 0.9117 0.4679
F 0.4438 0.1477 0.5321
F 0.7120 0.9038 0.1641
F 0.7396 0.5479 0.8359
F 0.4521 0.2880 0.1918
F 0.0962 0.2604 0.8082
F 0.1988 0.4847 0.1655
F 0.3192 0.0333 0.8345
F 0.9667 0.8012 0.2859
F 0.5153 0.6808 0.7141
F 0.7141 0.1166 0.9194
F 0.1972 0.7946 0.0806
F 0.2054 0.2859 0.4025
F 0.8834 0.8028 0.5975

8.
Below is Ba2Br2F after structural relaxation, with properties calculated at the PBE level.

Results
Formation enthalpy at 0 K: -1.679 eV/atom
Size of the total moment: 0.00 Bohr magnetons per cell
Total DFT energy (no corrections): -3.3917 eV per atom
MP2020-corrected energy: -17.4 eV/cell

a = 6.6051 Å, b = 6.6051 Å, c = 14.7355 Å
α = 90.00°, β = 90.00°, γ = 90.00°
Positions (direct):
Ba 0.5000 0.5000 0.1686
Ba 0.5000 0.5000 0.8314
Br 0.5000 0.5000 0.6348
Br 0.5000 0.5000 0.3652
F 0.5000 0.5000 0.0000

9.
Below is Ba2IBrF2 after structural relaxation, with properties calculated at the PBE level.

Results
Formation enthalpy at 0 K: -3.125 eV/atom
Size of the total moment: 0.00 Bohr magnetons per cell
Total DFT energy (no corrections): -4.7761 eV per atom
MP2020-corrected energy: -29.6 eV/cell

a = 4.6234 Å, b = 4.6234 Å, c = 7.9914 Å
α = 90.00°, β = 90.00°, γ = 90.00°
Positions (direct):
Ba 0.5000 0.5000 0.8274
Ba 0.0000 0.0000 0.1852
I 0.0000 0.0000 0.6414
Br 0.5000 0.5000 0.3401
F 0.5000 0.0000 0.0030
F 0.0000 0.5000 0.0030

10.
Below is Ba3FeS4Br after structural relaxation, with properties calculated at the PBE level.

Results
Formation enthalpy at 0 K: -1.938 eV/atom
Size of the total moment: 20.00 Bohr magnetons per cell
Total DFT energy (no corrections): -5.2564 eV per atom
MP2020-corrected energy: -199.4 eV/cell

a = 8.6142 Å, b = 9.6381 Å, c = 12.5332 Å
α = 90.00°, β = 90.00°, γ = 90.00°
Positions (direct):
Ba 0.9194 0.7500 0.4751
Ba 0.5806 0.7500 0.9751
Ba 0.0806 0.2500 0.5249
Ba 0.4194 0.2500 0.0249
Ba 0.5877 0.4785 0.6632
Ba 0.9123 0.0215 0.1632
Ba 0.4123 0.9785 0.3368
Ba 0.0877 0.5215 0.8368
Ba 0.4123 0.5215 0.3368
Ba 0.0877 0.9785 0.8368
Ba 0.5877 0.0215 0.6632
Ba 0.9123 0.4785 0.1632
Fe 0.3126 0.7500 0.6059
Fe 0.1874 0.7500 0.1059
Fe 0.6874 0.2500 0.3941
Fe 0.8126 0.2500 0.8941
S 0.8108 0.4491 0.4280
S 0.6892 0.0509 0.9280
S 0.1892 0.9491 0.5720
S 0.3108 0.5509 0.0720
S 0.1892 0.5509 0.5720
S 0.3108 0.9491 0.0720
S 0.8108 0.0509 0.4280
S 0.6892 0.4491 0.9280
S 0.1384 0.7500 0.2825
S 0.3616 0.7500 0.7825
S 0.8616 0.2500 0.7175
S 0.6384 0.2500 0.2175
S 0.5346 0.7500 0.5085
S 0.9654 0.7500 0.0085
S 0.4654 0.2500 0.4915
S 0.0346 0.2500 0.9915
Br 0.6712 0.7500 0.2324
Br 0.8288 0.7500 0.7324
Br 0.3288 0.2500 0.7676
Br 0.1712 0.2500 0.2676

11.
Below is Ba4Ge2PbS8Br2 after structural relaxation, with properties calculated at the PBE level.

Results
Formation enthalpy at 0 K: -1.675 eV/atom
Size of the total moment: 0.01 Bohr magnetons per cell
Total DFT energy (no corrections): -4.7287 eV per atom
MP2020-corrected energy: -171.0 eV/cell

a = 9.0482 Å, b = 9.3490 Å, c = 12.1572 Å
α = 90.00°, β = 90.00°, γ = 90.00°
Positions (direct):
Ba 0.8905 0.0088 0.1696
Ba 0.6009 0.4928 0.6731
Ba 0.1009 0.5072 0.8269
Ba 0.3905 0.9912 0.3304
Ba 0.1009 0.9928 0.8269
Ba 0.3905 0.5088 0.3304
Ba 0.8905 0.4912 0.1696
Ba 0.6009 0.0072 0.6731
Ge 0.1945 0.7500 0.1011
Ge 0.3015 0.7500 0.5901
Ge 0.8015 0.2500 0.9099
Ge 0.6945 0.2500 0.3989
Pb 0.5343 0.7500 0.9816
Pb 0.0343 0.2500 0.5184
S 0.8246 0.0543 0.4406
S 0.7019 0.4624 0.9355
S 0.2019 0.5376 0.5645
S 0.3246 0.9457 0.0594
S 0.2019 0.9624 0.5645
S 0.3246 0.5543 0.0594
S 0.8246 0.4457 0.4406
S 0.7019 0.0376 0.9355
S 0.0156 0.2500 0.0028
S 0.4869 0.2500 0.4975
S 0.9869 0.7500 0.0025
S 0.5156 0.7500 0.4972
S 0.6322 0.2500 0.2220
S 0.8664 0.2500 0.7253
S 0.3664 0.7500 0.7747
S 0.1322 0.7500 0.2780
Br 0.6457 0.7500 0.2241
Br 0.8528 0.7500 0.7162
Br 0.3528 0.2500 0.7838
Br 0.1457 0.2500 0.2759

12.
Below is Ba4Ge2PbSe8Br2 after structural relaxation, with properties calculated at the PBE level.

Results
Formation enthalpy at 0 K: -1.366 eV/atom
Size of the total moment: 0.00 Bohr magnetons per cell
Total DFT energy (no corrections): -4.3549 eV per atom
MP2020-corrected energy: -150.2 eV/cell

a = 9.1974 Å, b = 9.6567 Å, c = 12.6292 Å
α = 90.00°, β = 90.00°, γ = 90.00°
Positions (direct):
Ba 0.3952 0.7597 0.0798
Ba 0.1006 0.2435 0.5727
Ba 0.6006 0.2565 0.4273
Ba 0.8952 0.7403 0.9202
Ba 0.6006 0.7435 0.4273
Ba 0.8952 0.2597 0.9202
Ba 0.3952 0.2403 0.0798
Ba 0.1006 0.7565 0.5727
Ge 0.6905 0.5000 0.1483
Ge 0.8045 0.5000 0.6583
Ge 0.3045 0.0000 0.3417
Ge 0.1905 0.0000 0.8517
Pb 0.0440 0.5000 0.2528
Pb 0.5440 0.0000 0.7472
Se 0.6272 0.5000 0.9655
Se 0.8707 0.5000 0.4689
Se 0.3707 0.0000 0.5311
Se 0.1272 0.0000 0.0345
Se 0.4733 0.5000 0.2502
Se 0.0290 0.5000 0.7530
Se 0.5290 0.0000 0.2470
Se 0.9733 0.0000 0.7498
Se 0.8275 0.7031 0.1897
Se 0.6901 0.2867 0.6881
Se 0.1901 0.2133 0.3119
Se 0.3275 0.7969 0.8103
Se 0.1901 0.7867 0.3119
Se 0.3275 0.2031 0.8103
Se 0.8275 0.2969 0.1897
Se 0.6901 0.7133 0.6881
Br 0.1499 0.5000 0.0218
Br 0.3497 0.5000 0.5293
Br 0.8497 0.0000 0.4707
Br 0.6499 0.0000 0.9782

13.
Below is BaHBr after structural relaxation, with properties calculated at the PBE level.

Results
Formation enthalpy at 0 K: -1.603 eV/atom
Total DFT energy (no corrections): -3.7417 eV per atom
MP2020-corrected energy: -23.5 eV/cell

a = 4.5860 Å, b = 4.5860 Å, c = 7.4637 Å
α = 90.00°, β = 90.00°, γ = 90.00°
Positions (direct):
Ba 0.5000 0.0000 0.8067
Ba 0.0000 0.5000 0.1933
H 0.5000 0.5000 0.0000
H 0.0000 0.0000 0.0000
Br 0.0000 0.5000 0.6592
Br 0.5000 0.0000 0.3408

14.
Below is BaH4Br2O2 after structural relaxation, with properties calculated at the PBE level.

Results
Formation enthalpy at 0 K: -1.586 eV/atom
Size of the total moment: 0.00 Bohr magnetons per cell
Total DFT energy (no corrections): -4.6181 eV per atom
MP2020-corrected energy: -85.9 eV/cell

a = 6.4177 Å, b = 6.4177 Å, c = 8.4920 Å
α = 70.71°, β = 70.71°, γ = 68.98°
Positions (direct):
Ba 0.1009 0.8991 0.7500
Ba 0.8991 0.1009 0.2500
H 0.5942 0.2261 0.9547
H 0.7739 0.4058 0.5453
H 0.4058 0.7739 0.0453
H 0.2261 0.5942 0.4547
H 0.7574 0.3853 0.8720
H 0.6147 0.2426 0.6280
H 0.2426 0.6147 0.1280
H 0.3853 0.7574 0.3720
Br 0.2569 0.3111 0.8489
Br 0.6889 0.7431 0.6511
Br 0.7431 0.6889 0.1511
Br 0.3111 0.2569 0.3489
O 0.7515 0.2299 0.9427
O 0.7701 0.2485 0.5573
O 0.2485 0.7701 0.0573
O 0.2299 0.7515 0.4427

15.
Below is Ba2InBrO3 after structural relaxation, with properties calculated at the PBE level.

Results
Formation enthalpy at 0 K: -2.486 eV/atom
Size of the total moment: 0.00 Bohr magnetons per cell
Total DFT energy (no corrections): -5.4875 eV per atom
MP2020-corrected energy: -80.9 eV/cell

a = 4.3142 Å, b = 4.3142 Å, c = 15.7332 Å
α = 90.00°, β = 90.00°, γ = 90.00°
Positions (direct):
Ba 0.0000 0.5000 0.6598
Ba 0.5000 0.0000 0.3402
Ba 0.5000 0.0000 0.0921
Ba 0.0000 0.5000 0.9079
In 0.0000 0.5000 0.2065
In 0.5000 0.0000 0.7935
Br 0.5000 0.0000 0.5757
Br 0.0000 0.5000 0.4243
O 0.0000 0.0000 0.7700
O 0.5000 0.5000 0.7700
O 0.0000 0.0000 0.2300
O 0.5000 0.0000 0.9277
O 0.5000 0.5000 0.2300
O 0.0000 0.5000 0.0723